Record 1
DFT (PBE) results for a geometry-optimized Eu2SiN3 structure.

## Properties
E (eV per cell): -464.46
Formation enthalpy at 0 K (kJ per mole of atoms): -131.72

a b c (Å): 5.4823 10.7006 11.7260
angles (deg): 90.00 90.00 90.00
With the nearest neighbours (Å) after each atom.
Space group Cmce (No. 64)
Inequivalent atoms, fractional coordinates:
Eu1 0.0000 0.0523 0.1434 (multiplicity 8)  5 N 2.50-2.76
Eu2 0.0000 0.1415 0.5764 (multiplicity 8)  5 N 2.44-2.61
Si1 0.0000 0.2403 0.3354 (multiplicity 8)  4 N 1.74-1.77
N1 0.0000 0.0782 0.3667 (multiplicity 8)  1 Si 1.77
N2 0.0000 0.1584 0.9535 (multiplicity 8)  1 Si 1.76
N3 0.2500 0.2253 0.7500 (multiplicity 8)  2 Si 1.74



Record 2
DFT (PBE) results for a geometry-optimized NaEu3 structure.

## Properties
E (eV per cell): -63.39
Formation enthalpy at 0 K (kJ per mole of atoms): 9.58
Total moment (μB/f.u.): 22.07

a b c (Å): 5.4673 5.4673 11.8776
angles (deg): 90.00 90.00 90.00
With the nearest neighbours (Å) after each atom.
Space group I4/mmm (No. 139)
Inequivalent atoms, fractional coordinates:
Na1 0.0000 0.0000 0.0000 (multiplicity 2)  12 Eu 3.87-4.04
Eu1 0.0000 0.0000 0.5000 (multiplicity 2)  4 Na 3.87, 8 Eu 4.04
Eu2 0.0000 0.5000 0.2500 (multiplicity 4)  8 Eu 3.87-4.04, 4 Na 4.04



Record 3
DFT (PBE) results for a geometry-optimized NaEuNbSbO6 structure.

## Properties
E (eV per cell): -306.36
Formation enthalpy at 0 K (kJ per mole of atoms): -243.29
Total moment (μB/f.u.): 6.89

a b c (Å): 8.2504 8.2504 8.2504
angles (deg): 90.00 90.00 90.00
With the nearest neighbours (Å) after each atom.
Space group F-43m (No. 216)
Inequivalent atoms, fractional coordinates:
Na1 0.0000 0.0000 0.0000 (multiplicity 4)  12 O 2.92
Eu1 0.0000 0.0000 0.5000 (multiplicity 4)  12 O 2.92
Nb1 0.2500 0.2500 0.7500 (multiplicity 4)  6 O 2.01
Sb1 0.2500 0.2500 0.2500 (multiplicity 4)  6 O 2.12
O1 0.0067 0.2500 0.7500 (multiplicity 24)  1 Nb 2.01, 1 Sb 2.12



Record 4
DFT (PBE) results for a geometry-optimized Na3EuTi2Nb2O12 structure.

## Properties
Excess energy over the best structure of this formula in the dataset (kJ/mol of formula units): 0
E (eV per cell): -162.66
Formation enthalpy at 0 K (kJ per mole of atoms): -295.77
Total moment (μB/f.u.): 6.00

a b c (Å): 5.5031 5.5864 7.8304
angles (deg): 89.94 89.96 89.77
With the nearest neighbours (Å) after each atom.
Space group P1 (No. 1)
Inequivalent atoms, fractional coordinates:
Na1 0.0000 0.0000 0.0000 (multiplicity 1)  4 O 2.38-2.65
Na2 0.0104 0.9540 0.5015 (multiplicity 1)  8 O 2.45-2.73
Na3 0.5062 0.4977 0.0010 (multiplicity 1)  3 O 2.43-2.44
Eu1 0.5012 0.4418 0.5015 (multiplicity 1)  8 O 2.38-2.57
Ti1 0.0008 0.4680 0.2590 (multiplicity 1)  6 O 1.87-2.09
Ti2 0.5114 0.9663 0.7453 (multiplicity 1)  5 O 1.86-2.08
Nb1 0.0038 0.4744 0.7635 (multiplicity 1)  6 O 1.93-2.13
Nb2 0.5068 0.9682 0.2384 (multiplicity 1)  5 O 1.91-2.12
O1 0.0651 0.4696 0.0059 (multiplicity 1)  1 Nb 1.93, 1 Ti 2.01
O2 0.2217 0.2177 0.2968 (multiplicity 1)  1 Ti 1.87
O3 0.2256 0.2150 0.7069 (multiplicity 1)  1 Nb 1.94, 1 Ti 2.12
O4 0.2929 0.6988 0.2928 (multiplicity 1)  1 Nb 1.96, 1 Ti 2.08
O5 0.2961 0.7018 0.7107 (multiplicity 1)  1 Ti 1.92, 1 Nb 2.09
O6 0.4320 0.9823 0.9978 (multiplicity 1)  1 Nb 1.93, 1 Ti 2.03
O7 0.5685 0.0027 0.5043 (multiplicity 1)  1 Ti 1.92, 1 Nb 2.12
O8 0.7089 0.2808 0.7729 (multiplicity 1)  1 Nb 1.96, 1 Ti 2.08
O9 0.7117 0.2851 0.2324 (multiplicity 1)  1 Ti 1.91, 1 Nb 2.10
O10 0.7854 0.7785 0.7844 (multiplicity 1)  1 Ti 1.86
O11 0.7916 0.7750 0.2162 (multiplicity 1)  1 Nb 1.91, 1 Ti 2.09
O12 0.9273 0.5097 0.4985 (multiplicity 1)  1 Ti 1.93, 1 Nb 2.13